(1)
LaAg2 | the Materials Project | r2SCAN | relaxed; space group = No. 12
1.0
-4.838 0.000 0.005
-2.423 -3.698 4.092
-2.423 3.698 4.092
La Ag
2 4
direct
0.464 0.285 0.785
0.536 0.715 0.215
0.834 0.710 0.622
0.166 0.878 0.790
0.166 0.290 0.378
0.834 0.122 0.210

(2)
MnSiO3 | the Materials Project | r2SCAN | relaxed; space group = No. 14
1.0
9.196 0.000 0.000
0.000 5.380 0.007
0.000 2.032 9.337
Si O Mn
8 24 8
direct
0.337 0.227 0.547
0.837 0.273 0.453
0.663 0.773 0.453
0.163 0.727 0.547
0.664 0.221 0.048
0.836 0.721 0.048
0.164 0.279 0.952
0.336 0.779 0.952
0.840 0.210 0.627
0.159 0.216 0.126
0.160 0.790 0.373
0.732 0.933 0.102
0.340 0.290 0.373
0.491 0.233 0.624
0.009 0.733 0.624
0.011 0.261 0.874
0.841 0.784 0.874
0.768 0.433 0.102
0.991 0.267 0.376
0.741 0.052 0.397
0.759 0.552 0.397
0.659 0.284 0.874
0.509 0.767 0.376
0.489 0.761 0.874
0.268 0.067 0.898
0.511 0.239 0.126
0.232 0.567 0.898
0.259 0.948 0.603
0.341 0.716 0.126
0.241 0.448 0.603
0.660 0.710 0.627
0.989 0.739 0.126
0.850 0.496 0.750
0.990 0.004 0.250
0.150 0.504 0.250
0.490 0.496 0.750
0.650 0.996 0.750
0.010 0.996 0.750
0.350 0.004 0.250
0.510 0.504 0.250

(3)
U3Sb4 | the Materials Project | r2SCAN | relaxed; E above lowest polymorph = 4.8 meV/atom; space group = No. 220
1.0
6.605 4.506 0.271
-0.995 -3.699 7.024
0.729 -5.455 -5.807
Sb U
8 6
direct
0.000 0.158 0.500
0.158 0.500 0.000
0.342 0.342 0.342
0.000 0.658 0.500
0.500 0.000 0.658
0.842 0.842 0.842
0.500 0.000 0.158
0.658 0.500 0.000
0.250 0.125 0.875
0.875 0.250 0.125
0.125 0.875 0.250
0.375 0.625 0.750
0.750 0.375 0.625
0.625 0.750 0.375

(4)
Zr5ZnSn3 | the Materials Project | r2SCAN | relaxed; space group = No. 193
1.0
-5.282 5.404 4.276
-3.128 -7.363 -3.374
1.194 -2.809 5.024
Zr Sn Zn
10 6 2
direct
0.733 0.000 0.250
0.267 0.000 0.750
0.000 0.267 0.750
0.333 0.667 0.500
0.000 0.733 0.250
0.267 0.267 0.250
0.733 0.733 0.750
0.667 0.333 0.500
0.667 0.333 0.000
0.333 0.667 0.000
0.385 0.385 0.750
0.000 0.615 0.750
0.385 0.000 0.250
0.615 0.615 0.250
0.000 0.385 0.250
0.615 0.000 0.750
0.000 0.000 0.500
0.000 0.000 0.000

(5)
LuAl2 | the Materials Project | r2SCAN | relaxed; space group = No. 227
1.0
1.691 4.252 2.967
-0.171 -0.235 5.446
4.630 -0.341 2.861
Al Lu
4 2
direct
0.000 0.500 0.500
0.500 0.500 0.000
0.500 0.500 0.500
0.500 0.000 0.500
0.875 0.875 0.875
0.125 0.125 0.125

(6)
Na9Sn4 | the Materials Project | r2SCAN | relaxed; space group = No. 63
1.0
-0.777 -2.682 4.588
2.173 -2.507 -4.242
26.277 7.663 8.931
Na Sn
18 8
direct
0.166 0.331 0.482
0.169 0.339 0.592
0.831 0.661 0.092
0.503 0.006 0.821
0.836 0.673 0.634
0.164 0.327 0.366
0.834 0.669 0.518
0.497 0.994 0.321
0.164 0.327 0.134
0.831 0.661 0.408
0.497 0.994 0.179
0.837 0.674 0.750
0.836 0.673 0.866
0.834 0.669 0.982
0.163 0.326 0.250
0.169 0.339 0.908
0.503 0.006 0.679
0.166 0.331 0.018
0.501 0.002 0.949
0.170 0.340 0.701
0.830 0.660 0.299
0.501 0.002 0.551
0.170 0.340 0.799
0.499 0.998 0.051
0.499 0.998 0.449
0.830 0.660 0.201

Number 1: energy of formation -311 meV/atom, size of the total moment 0.0 Bohr magnetons per cell. Number 2: energy of formation -2642 meV/atom, size of the total moment 40.0 Bohr magnetons per cell. Number 3: energy of formation -623 meV/atom, size of the total moment 13.2 Bohr magnetons per cell. Number 4: energy of formation -647 meV/atom, size of the total moment 0.0 Bohr magnetons per cell. Number 5: energy of formation -550 meV/atom, size of the total moment 0.0 Bohr magnetons per cell. Number 6: energy of formation -247 meV/atom, size of the total moment 0.0 Bohr magnetons per cell.